{"formula": "Ge5P6O25", "functional": "PBE", "state": "optimized geometry", "lattice_angstrom": [[4.0663, 2.3477, 8.3979], [-4.0663, 2.3477, 8.3979], [0.0000, -4.6953, 8.3979]], "species": ["Ge", "Ge", "Ge", "Ge", "Ge", "P", "P", "P", "P", "P", "P", "O", "O", "O", "O", "O", "O", "O", "O", "O", "O", "O", "O", "O", "O", "O", "O", "O", "O", "O", "O", "O", "O", "O", "O", "O"], "fractional_positions": [[0.0000, 0.0000, 0.0000], [0.1773, 0.1773, 0.1773], [0.4320, 0.4320, 0.4320], [0.5680, 0.5680, 0.5680], [0.8227, 0.8227, 0.8227], [0.0698, 0.8237, 0.3802], [0.1763, 0.6198, 0.9302], [0.3802, 0.0698, 0.8237], [0.6198, 0.9302, 0.1763], [0.8237, 0.3802, 0.0698], [0.9302, 0.1763, 0.6198], [0.0338, 0.1030, 0.7389], [0.0880, 0.7317, 0.7789], [0.0931, 0.1377, 0.4329], [0.1030, 0.7389, 0.0338], [0.1377, 0.4330, 0.0931], [0.1923, 0.5927, 0.4336], [0.2211, 0.9120, 0.2683], [0.2611, 0.9662, 0.8970], [0.2683, 0.2211, 0.9120], [0.4073, 0.5664, 0.8077], [0.4329, 0.0931, 0.1377], [0.4336, 0.1923, 0.5927], [0.5000, 0.5000, 0.5000], [0.5664, 0.8077, 0.4073], [0.5671, 0.9069, 0.8623], [0.5927, 0.4336, 0.1923], [0.7317, 0.7789, 0.0880], [0.7389, 0.0338, 0.1030], [0.7789, 0.0880, 0.7317], [0.8077, 0.4073, 0.5664], [0.8623, 0.5671, 0.9069], [0.8970, 0.2611, 0.9662], [0.9069, 0.8623, 0.5671], [0.9120, 0.2683, 0.2211], [0.9662, 0.8970, 0.2611]], "vol_a3_per_fu": 481.0, "total_energy_ev_per_atom": -6.92, "formation_energy_ev_per_fu": -87.024}

---

{"formula": "GeP3O6", "functional": "PBE", "state": "optimized geometry", "lattice_angstrom": [[6.2737, 3.6221, 3.2134], [-6.2737, 3.6221, 3.2134], [0.0000, -7.2442, 3.2134]], "species": ["Ge", "Ge", "P", "P", "P", "P", "P", "P", "O", "O", "O", "O", "O", "O", "O", "O", "O", "O", "O", "O"], "fractional_positions": [[0.0000, 0.0000, 0.0000], [0.5000, 0.5000, 0.5000], [0.0228, 0.4260, 0.2383], [0.2383, 0.0228, 0.4260], [0.4260, 0.2383, 0.0228], [0.5740, 0.7617, 0.9772], [0.7617, 0.9771, 0.5740], [0.9772, 0.5740, 0.7617], [0.0070, 0.7533, 0.9194], [0.0806, 0.9930, 0.2467], [0.1902, 0.4802, 0.4088], [0.2467, 0.0806, 0.9930], [0.4088, 0.1902, 0.4802], [0.4802, 0.4088, 0.1902], [0.5198, 0.5912, 0.8098], [0.5912, 0.8098, 0.5198], [0.7533, 0.9194, 0.0070], [0.8098, 0.5198, 0.5912], [0.9194, 0.0070, 0.7533], [0.9930, 0.2467, 0.0806]], "m_tot_mub_per_fu": 0.0, "vol_a3_per_fu": 219.1, "total_energy_ev_per_atom": -6.46, "formation_energy_ev_per_fu": -18.159}

---

{"formula": "GeP2O9", "functional": "PBE", "state": "optimized geometry", "lattice_angstrom": [[8.3165, 0.0000, 0.0000], [0.0000, 4.8484, 0.0000], [-5.2300, 0.0000, 15.0783]], "species": ["Ge", "Ge", "Ge", "Ge", "P", "P", "P", "P", "P", "P", "P", "P", "O", "O", "O", "O", "O", "O", "O", "O", "O", "O", "O", "O", "O", "O", "O", "O", "O", "O", "O", "O", "O", "O", "O", "O", "O", "O", "O", "O", "O", "O", "O", "O", "O", "O", "O", "O"], "fractional_positions": [[0.2417, 0.2449, 0.4881], [0.2417, 0.2551, 0.9881], [0.7583, 0.7449, 0.0119], [0.7583, 0.7551, 0.5119], [0.0020, 0.7383, 0.3912], [0.0020, 0.7617, 0.8912], [0.4674, 0.7440, 0.6016], [0.4674, 0.7560, 0.1016], [0.5326, 0.2440, 0.8984], [0.5326, 0.2560, 0.3984], [0.9980, 0.2383, 0.1088], [0.9980, 0.2617, 0.6088], [0.0526, 0.0439, 0.4132], [0.0526, 0.4561, 0.9132], [0.0907, 0.2104, 0.2111], [0.0907, 0.2896, 0.7111], [0.1248, 0.1356, 0.0643], [0.1248, 0.3644, 0.5643], [0.1648, 0.5585, 0.4173], [0.1648, 0.9415, 0.9173], [0.2491, 0.6507, 0.7394], [0.2491, 0.8493, 0.2394], [0.3134, 0.5632, 0.0624], [0.3134, 0.9368, 0.5624], [0.3724, 0.1430, 0.4154], [0.3724, 0.3570, 0.9154], [0.4318, 0.0536, 0.0657], [0.4318, 0.4464, 0.5657], [0.4978, 0.7367, 0.7039], [0.4978, 0.7633, 0.2039], [0.5022, 0.2367, 0.7961], [0.5022, 0.2633, 0.2961], [0.5682, 0.5536, 0.4343], [0.5682, 0.9464, 0.9343], [0.6276, 0.6430, 0.0846], [0.6276, 0.8570, 0.5846], [0.6866, 0.0632, 0.4376], [0.6866, 0.4368, 0.9376], [0.7509, 0.1507, 0.7606], [0.7509, 0.3493, 0.2606], [0.8352, 0.0585, 0.0827], [0.8352, 0.4415, 0.5827], [0.8752, 0.6356, 0.4357], [0.8752, 0.8644, 0.9357], [0.9093, 0.7104, 0.2889], [0.9093, 0.7896, 0.7889], [0.9474, 0.5439, 0.0868], [0.9474, 0.9561, 0.5868]], "m_tot_mub_per_fu": 4.0, "vol_a3_per_fu": 152.0, "polymorph_energy_ev_per_atom": 0.015, "total_energy_ev_per_atom": -6.24, "formation_energy_ev_per_fu": -21.137}

---

{"formula": "GeP2O9", "functional": "PBE", "state": "optimized geometry", "lattice_angstrom": [[8.4176, 0.0000, 0.0000], [0.0000, 4.8765, 0.0000], [-5.8126, 0.0000, 15.3830]], "species": ["Ge", "Ge", "Ge", "Ge", "P", "P", "P", "P", "P", "P", "P", "P", "O", "O", "O", "O", "O", "O", "O", "O", "O", "O", "O", "O", "O", "O", "O", "O", "O", "O", "O", "O", "O", "O", "O", "O", "O", "O", "O", "O", "O", "O", "O", "O", "O", "O", "O", "O"], "fractional_positions": [[0.2461, 0.2436, 0.0002], [0.2461, 0.2564, 0.5002], [0.7539, 0.7436, 0.4998], [0.7539, 0.7564, 0.9998], [0.0117, 0.7472, 0.8981], [0.0117, 0.7528, 0.3981], [0.4920, 0.7480, 0.6014], [0.4920, 0.7520, 0.1014], [0.5080, 0.2480, 0.8986], [0.5080, 0.2520, 0.3986], [0.9883, 0.2472, 0.6019], [0.9883, 0.2527, 0.1019], [0.0576, 0.0440, 0.9301], [0.0582, 0.2427, 0.7048], [0.0582, 0.2573, 0.2048], [0.0576, 0.4560, 0.4301], [0.1346, 0.1377, 0.5749], [0.1346, 0.3623, 0.0749], [0.1420, 0.6504, 0.7480], [0.1420, 0.8496, 0.2480], [0.1677, 0.5557, 0.9281], [0.1677, 0.9443, 0.4281], [0.3398, 0.5501, 0.5781], [0.3398, 0.9499, 0.0781], [0.3671, 0.1301, 0.9281], [0.3671, 0.3699, 0.4281], [0.4414, 0.1815, 0.3002], [0.4414, 0.3185, 0.8002], [0.4429, 0.0428, 0.5659], [0.4429, 0.4572, 0.0659], [0.5571, 0.5428, 0.9341], [0.5571, 0.9572, 0.4341], [0.5586, 0.6815, 0.1998], [0.5586, 0.8185, 0.6998], [0.6329, 0.6301, 0.5719], [0.6329, 0.8699, 0.0719], [0.6602, 0.0501, 0.9219], [0.6602, 0.4499, 0.4219], [0.8323, 0.0557, 0.5719], [0.8323, 0.4443, 0.0719], [0.8580, 0.1504, 0.7520], [0.8580, 0.3496, 0.2520], [0.8654, 0.6377, 0.9251], [0.8654, 0.8623, 0.4251], [0.9424, 0.5440, 0.5699], [0.9418, 0.7427, 0.7952], [0.9418, 0.7573, 0.2952], [0.9424, 0.9560, 0.0699]], "m_tot_mub_per_fu": 4.0, "vol_a3_per_fu": 157.9, "polymorph_energy_ev_per_atom": 0.000, "total_energy_ev_per_atom": -6.26, "formation_energy_ev_per_fu": -21.319}

---

{"formula": "GeP2O7", "functional": "PBE", "state": "optimized geometry", "lattice_angstrom": [[4.7274, 0.0000, 0.0000], [-1.7985, 6.5735, 0.0000], [-0.3914, -0.3351, 7.8634]], "species": ["Ge", "Ge", "P", "P", "P", "P", "O", "O", "O", "O", "O", "O", "O", "O", "O", "O", "O", "O", "O", "O"], "fractional_positions": [[0.0000, 0.0000, 0.0000], [0.5000, 0.5000, 0.5000], [0.0192, 0.6392, 0.2636], [0.3882, 0.7542, 0.8103], [0.6118, 0.2458, 0.1897], [0.9808, 0.3608, 0.7364], [0.1129, 0.8280, 0.1596], [0.1492, 0.3317, 0.5805], [0.1956, 0.5334, 0.8618], [0.1995, 0.9043, 0.8250], [0.2925, 0.5668, 0.3082], [0.3467, 0.2050, 0.0622], [0.4588, 0.7347, 0.6234], [0.5412, 0.2653, 0.3766], [0.6533, 0.7950, 0.9378], [0.7075, 0.4332, 0.6918], [0.8005, 0.0957, 0.1750], [0.8044, 0.4666, 0.1382], [0.8508, 0.6683, 0.4195], [0.8871, 0.1720, 0.8404]], "vol_a3_per_fu": 122.2, "total_energy_ev_per_atom": -7.01, "formation_energy_ev_per_fu": -24.806}

---

{"formula": "Ge2P2SO12", "functional": "PBE", "state": "optimized geometry", "lattice_angstrom": [[8.3045, 0.0000, 0.0000], [-4.1523, 7.2108, 0.0157], [0.0000, 0.0450, 21.5892]], "species": ["P", "P", "P", "P", "P", "P", "P", "P", "P", "P", "P", "P", "O", "O", "O", "O", "O", "O", "O", "O", "O", "O", "O", "O", "O", "O", "O", "O", "O", "O", "O", "O", "O", "O", "O", "O", "O", "O", "O", "O", "O", "O", "O", "O", "O", "O", "O", "O", "O", "O", "O", "O", "O", "O", "O", "O", "O", "O", "O", "O", "O", "O", "O", "O", "O", "O", "O", "O", "O", "O", "O", "O", "O", "O", "O", "O", "O", "O", "O", "O", "O", "O", "O", "O", "S", "S", "S", "S", "S", "S", "Ge", "Ge", "Ge", "Ge", "Ge", "Ge", "Ge", "Ge", "Ge", "Ge", "Ge", "Ge"], "fractional_positions": [[0.9571, 0.3361, 0.5838], [0.6675, 0.6220, 0.5833], [0.0457, 0.6695, 0.4171], [0.7123, 0.0028, 0.7505], [0.3790, 0.3361, 0.0838], [0.6238, 0.6695, 0.9171], [0.2878, 0.2887, 0.7499], [0.0009, 0.2887, 0.2499], [0.6212, 0.9554, 0.4166], [0.9545, 0.6220, 0.0833], [0.2905, 0.0028, 0.2505], [0.3342, 0.9554, 0.9166], [0.8132, 0.9747, 0.4076], [0.7028, 0.5362, 0.5253], [0.8717, 0.3728, 0.6414], [0.6372, 0.1455, 0.4259], [0.3594, 0.5075, 0.0740], [0.8333, 0.5362, 0.0253], [0.8332, 0.2914, 0.5262], [0.8264, 0.7875, 0.3056], [0.1465, 0.6413, 0.0743], [0.4999, 0.6247, 0.8595], [0.1870, 0.1637, 0.0911], [0.1677, 0.1941, 0.4098], [0.8416, 0.8122, 0.5926], [0.8148, 0.8409, 0.9073], [0.0396, 0.8277, 0.6939], [0.6434, 0.4970, 0.9244], [0.5203, 0.8303, 0.7578], [0.2049, 0.1655, 0.8079], [0.8536, 0.4970, 0.4244], [0.9611, 0.7875, 0.8056], [0.4931, 0.1209, 0.6390], [0.3598, 0.8608, 0.5764], [0.1677, 0.7061, 0.4748], [0.8328, 0.0247, 0.0913], [0.5382, 0.8321, 0.4746], [0.8585, 0.3580, 0.9246], [0.6272, 0.4988, 0.6413], [0.8343, 0.5274, 0.7431], [0.2050, 0.0394, 0.3081], [0.5010, 0.8608, 0.0764], [0.4799, 0.3080, 0.7410], [0.4582, 0.2914, 0.0262], [0.1667, 0.2028, 0.6919], [0.1598, 0.4542, 0.9723], [0.7915, 0.9581, 0.6928], [0.1481, 0.5075, 0.5740], [0.3695, 0.8695, 0.8586], [0.1750, 0.4788, 0.2593], [0.3101, 0.8303, 0.2578], [0.9705, 0.8122, 0.0926], [0.5011, 0.3728, 0.1414], [0.1215, 0.4944, 0.8605], [0.4548, 0.1610, 0.5272], [0.4814, 0.1742, 0.2406], [0.8344, 0.0394, 0.8081], [0.0362, 0.2028, 0.1919], [0.1665, 0.9581, 0.1928], [0.2944, 0.4542, 0.4723], [0.7062, 0.1610, 0.0272], [0.4948, 0.6413, 0.5743], [0.5083, 0.1455, 0.9259], [0.6928, 0.1742, 0.7406], [0.3729, 0.4944, 0.3605], [0.5384, 0.7061, 0.9748], [0.1615, 0.9747, 0.9076], [0.9605, 0.1655, 0.3079], [0.6931, 0.5274, 0.2431], [0.8716, 0.4988, 0.1413], [0.0264, 0.1941, 0.9098], [0.2939, 0.8321, 0.9746], [0.9767, 0.1637, 0.5911], [0.5252, 0.6914, 0.2579], [0.4995, 0.3580, 0.4246], [0.6278, 0.1209, 0.1390], [0.1662, 0.6914, 0.7579], [0.7882, 0.8277, 0.1939], [0.3039, 0.4788, 0.7593], [0.1249, 0.6247, 0.3595], [0.5000, 0.8695, 0.3586], [0.8281, 0.3080, 0.2410], [0.1918, 0.0247, 0.5913], [0.0261, 0.8409, 0.4073], [0.3762, 0.0443, 0.5831], [0.6681, 0.0443, 0.0831], [0.0014, 0.7110, 0.7497], [0.0429, 0.3776, 0.9164], [0.7096, 0.7110, 0.2497], [0.3347, 0.3776, 0.4164], [0.6687, 0.3345, 0.1878], [0.0144, 0.0052, 0.1454], [0.6658, 0.3345, 0.6878], [0.3477, 0.6718, 0.8121], [0.6810, 0.3385, 0.4788], [0.0020, 0.0011, 0.8545], [0.9991, 0.0011, 0.3545], [0.3354, 0.6678, 0.5212], [0.9908, 0.0052, 0.6454], [0.3324, 0.6678, 0.0212], [0.3241, 0.6718, 0.3121], [0.6575, 0.3385, 0.9788]], "m_tot_mub_per_fu": 0.0, "vol_a3_per_fu": 215.5, "total_energy_ev_per_atom": -6.63, "formation_energy_ev_per_fu": -37.296}

---

{"formula": "ScGePS2O12", "functional": "PBE", "state": "optimized geometry", "lattice_angstrom": [[7.4893, -4.3039, 0.0000], [7.4893, 4.3039, 0.0000], [-0.2067, 0.0000, 22.0406]], "species": ["Sc", "Sc", "Sc", "Sc", "Sc", "Sc", "Ge", "Ge", "Ge", "Ge", "Ge", "Ge", "P", "P", "P", "P", "P", "P", "S", "S", "S", "S", "S", "S", "S", "S", "S", "S", "S", "S", "O", "O", "O", "O", "O", "O", "O", "O", "O", "O", "O", "O", "O", "O", "O", "O", "O", "O", "O", "O", "O", "O", "O", "O", "O", "O", "O", "O", "O", "O", "O", "O", "O", "O", "O", "O", "O", "O", "O", "O", "O", "O", "O", "O", "O", "O", "O", "O", "O", "O", "O", "O", "O", "O", "O", "O", "O", "O", "O", "O", "O", "O", "O", "O", "O", "O", "O", "O", "O", "O", "O", "O"], "fractional_positions": [[0.0009, 0.9991, 0.5000], [0.3352, 0.3498, 0.3327], [0.3498, 0.3352, 0.8327], [0.6714, 0.6754, 0.6664], [0.6754, 0.6714, 0.1664], [0.9991, 0.0009, 0.0000], [0.0226, 0.9851, 0.2129], [0.3351, 0.3407, 0.5456], [0.3407, 0.3351, 0.0456], [0.6723, 0.6741, 0.3796], [0.6741, 0.6723, 0.8796], [0.9851, 0.0226, 0.7129], [0.0285, 0.7042, 0.1086], [0.0423, 0.6130, 0.4429], [0.3842, 0.6901, 0.2766], [0.6130, 0.0423, 0.9429], [0.6901, 0.3842, 0.7766], [0.7042, 0.0285, 0.6086], [0.0249, 0.2840, 0.6091], [0.0434, 0.3560, 0.9424], [0.2804, 0.7125, 0.6100], [0.2840, 0.0249, 0.1091], [0.3560, 0.0434, 0.4424], [0.3586, 0.6179, 0.9428], [0.3696, 0.9535, 0.7755], [0.6179, 0.3586, 0.4428], [0.6926, 0.9528, 0.2765], [0.7125, 0.2804, 0.1100], [0.9528, 0.6926, 0.7765], [0.9535, 0.3696, 0.2755], [0.0186, 0.7976, 0.4521], [0.0208, 0.2016, 0.9516], [0.0589, 0.1707, 0.6653], [0.0674, 0.7877, 0.1670], [0.1236, 0.3919, 0.9987], [0.1288, 0.4919, 0.5010], [0.1288, 0.5369, 0.7856], [0.1346, 0.3386, 0.2839], [0.1510, 0.3285, 0.8889], [0.1584, 0.5278, 0.3879], [0.1665, 0.7954, 0.6655], [0.1707, 0.0589, 0.1653], [0.1910, 0.2969, 0.6041], [0.1956, 0.9584, 0.7670], [0.1974, 0.8647, 0.2700], [0.2016, 0.0208, 0.4516], [0.2022, 0.5191, 0.0990], [0.2031, 0.9969, 0.0556], [0.2061, 0.8226, 0.5563], [0.2087, 0.7997, 0.9516], [0.2914, 0.5348, 0.6026], [0.2969, 0.1910, 0.1041], [0.3195, 0.5430, 0.8895], [0.3285, 0.1510, 0.3889], [0.3386, 0.1346, 0.7839], [0.3589, 0.5306, 0.2858], [0.3919, 0.1236, 0.4987], [0.3922, 0.5038, 0.9983], [0.4520, 0.8404, 0.8313], [0.4612, 0.6846, 0.6186], [0.4637, 0.8693, 0.1172], [0.4703, 0.7263, 0.3347], [0.4853, 0.8761, 0.7225], [0.4919, 0.1288, 0.0010], [0.4978, 0.6610, 0.2210], [0.5038, 0.3922, 0.4983], [0.5191, 0.2022, 0.5990], [0.5242, 0.8639, 0.4371], [0.5271, 0.6249, 0.9356], [0.5278, 0.1584, 0.8879], [0.5306, 0.3589, 0.7858], [0.5348, 0.2914, 0.1026], [0.5369, 0.1288, 0.2856], [0.5430, 0.3195, 0.3895], [0.6249, 0.5271, 0.4356], [0.6280, 0.8552, 0.9337], [0.6610, 0.4978, 0.7210], [0.6623, 0.8726, 0.2224], [0.6790, 0.8694, 0.6196], [0.6846, 0.4612, 0.1186], [0.7263, 0.4703, 0.8347], [0.7309, 0.8359, 0.3319], [0.7877, 0.0674, 0.6670], [0.7954, 0.1665, 0.1655], [0.7976, 0.0186, 0.9521], [0.7997, 0.2087, 0.4516], [0.8226, 0.2061, 0.0563], [0.8240, 0.9937, 0.5545], [0.8359, 0.7309, 0.8319], [0.8404, 0.4520, 0.3313], [0.8552, 0.6280, 0.4337], [0.8570, 0.9679, 0.2695], [0.8639, 0.5242, 0.9371], [0.8647, 0.1974, 0.7700], [0.8693, 0.4637, 0.6172], [0.8694, 0.6790, 0.1196], [0.8726, 0.6623, 0.7224], [0.8761, 0.4853, 0.2225], [0.9584, 0.1956, 0.2670], [0.9679, 0.8570, 0.7695], [0.9937, 0.8240, 0.0545], [0.9969, 0.2031, 0.5556]], "m_tot_mub_per_fu": 0.0, "vol_a3_per_fu": 236.8, "total_energy_ev_per_atom": -6.80, "formation_energy_ev_per_fu": -39.877}